[1]
Computed, not measured: Ca2Nb2CoO8 after structural relaxation at the PBE with a Hubbard U level of DFT.

a b c (Å): 10.024 10.024 5.477
angles (deg): 88.64 88.64 37.05
Sites, in units of the cell vectors:
O 0.805 0.057 0.087
O 0.943 0.195 0.413
O 0.533 0.835 0.156
O 0.413 0.701 0.421
O 0.880 0.755 0.000
O 0.165 0.467 0.344
O 0.057 0.805 0.587
O 0.245 0.120 0.500
O 0.587 0.299 0.579
O 0.120 0.245 0.000
O 0.835 0.533 0.656
O 0.701 0.413 0.921
O 0.299 0.587 0.079
O 0.195 0.943 0.913
O 0.755 0.880 0.500
O 0.467 0.165 0.844
Nb 0.043 0.736 0.250
Nb 0.264 0.957 0.250
Nb 0.957 0.264 0.750
Nb 0.736 0.043 0.750
Ca 0.887 0.530 0.256
Ca 0.470 0.113 0.244
Ca 0.530 0.887 0.756
Ca 0.113 0.470 0.744
Co 0.357 0.643 0.750
Co 0.643 0.357 0.250

space-group type	No. 15
calculated total energy	-7.796	eV/atom
size of the total moment	3.00	μB per formula unit
DFT formation energy	-2.890	eV/atom

---

[2]
Computed, not measured: Ba6Lu2W3O18 after structural relaxation at the PBE with a Hubbard U level of DFT.

a b c (Å): 14.842 14.842 14.842
angles (deg): 23.03 23.03 23.03
Sites, in units of the cell vectors:
O 0.690 0.213 0.690
O 0.573 0.573 0.105
O 0.895 0.427 0.427
O 0.131 0.131 0.660
O 0.131 0.660 0.131
O 0.660 0.131 0.131
O 0.869 0.869 0.340
O 0.787 0.310 0.310
O 0.690 0.690 0.213
O 0.213 0.690 0.690
O 0.105 0.573 0.573
O 0.427 0.427 0.895
O 0.310 0.787 0.310
O 0.310 0.310 0.787
O 0.573 0.105 0.573
O 0.340 0.869 0.869
O 0.869 0.340 0.869
O 0.427 0.895 0.427
Lu 0.724 0.724 0.724
Lu 0.276 0.276 0.276
Ba 0.813 0.813 0.813
Ba 0.363 0.363 0.363
Ba 0.637 0.637 0.637
Ba 0.088 0.088 0.088
Ba 0.912 0.912 0.912
Ba 0.187 0.187 0.187
W 0.553 0.553 0.553
W 0.447 0.447 0.447
W 0.000 0.000 0.000

space-group type	No. 166
calculated total energy	-7.351	eV/atom
size of the total moment	0.11	μB per formula unit
DFT formation energy	-3.117	eV/atom

---

[3]
Computed, not measured: MgFe10O16F4 after structural relaxation at the PBE with a Hubbard U level of DFT.

a b c (Å): 4.907 12.966 5.558
angles (deg): 103.34 90.66 89.95
Sites, in units of the cell vectors:
O 0.297 0.353 0.980
O 0.859 0.058 0.329
O 0.178 0.939 0.706
O 0.670 0.468 0.618
O 0.812 0.260 0.695
O 0.832 0.865 0.950
O 0.818 0.665 0.532
O 0.193 0.340 0.474
O 0.360 0.946 0.192
O 0.352 0.133 0.543
O 0.323 0.743 0.790
O 0.795 0.457 0.118
O 0.299 0.553 0.396
O 0.678 0.659 0.020
O 0.692 0.853 0.442
O 0.177 0.138 0.062
Fe 0.974 0.403 0.790
Fe 0.471 0.415 0.300
Fe 0.033 0.992 0.028
Fe 0.484 0.980 0.542
Fe 0.033 0.202 0.404
Fe 0.477 0.227 0.838
Fe 0.508 0.608 0.696
Fe 0.997 0.798 0.625
Fe 0.967 0.596 0.217
Fe 0.530 0.802 0.106
F 0.168 0.547 0.888
F 0.663 0.246 0.194
F 0.182 0.746 0.283
F 0.671 0.063 0.854
Mg 0.520 0.099 0.199

space-group type	No. 1
calculated total energy	-6.134	eV/atom
size of the total moment	46.00	μB per formula unit
distance to the lowest polymorph of the same formula	0.009	eV per atom
DFT formation energy	-1.691	eV/atom

---

[4]
Computed, not measured: Li5Co3O8 after structural relaxation at the PBE with a Hubbard U level of DFT.

a b c (Å): 2.985 5.001 9.706
angles (deg): 76.91 90.00 90.00
Sites, in units of the cell vectors:
Li 0.500 0.754 0.748
Li 0.000 0.500 0.000
Li 0.000 0.000 0.500
Li 0.500 0.000 0.000
Li 0.500 0.246 0.252
O 0.500 0.855 0.377
O 0.500 0.369 0.866
O 0.500 0.145 0.623
O 0.000 0.591 0.629
O 0.500 0.631 0.134
O 0.000 0.409 0.371
O 0.000 0.088 0.139
O 0.000 0.912 0.861
Co 0.500 0.500 0.500
Co 0.000 0.244 0.761
Co 0.000 0.756 0.239

space-group type	No. 10
calculated total energy	-5.428	eV/atom
size of the total moment	10.00	μB per formula unit
distance to the lowest polymorph of the same formula	0.059	eV per atom
DFT formation energy	-1.675	eV/atom

---

[5]
Computed, not measured: K3Fe5F15 after structural relaxation at the PBE with a Hubbard U level of DFT.

a b c (Å): 4.023 12.977 13.028
angles (deg): 90.00 90.00 90.00
Sites, in units of the cell vectors:
F 0.467 0.928 0.858
F 0.449 0.491 0.852
F 0.946 0.500 0.000
F 0.467 0.572 0.358
F 0.961 0.925 0.208
F 0.451 0.651 0.005
F 0.467 0.072 0.142
F 0.468 0.354 0.436
F 0.462 0.226 0.718
F 0.961 0.075 0.792
F 0.451 0.849 0.505
F 0.468 0.854 0.064
F 0.462 0.774 0.282
F 0.962 0.289 0.574
F 0.962 0.711 0.426
F 0.468 0.646 0.564
F 0.449 0.991 0.648
F 0.449 0.509 0.148
F 0.961 0.575 0.708
F 0.962 0.211 0.074
F 0.946 0.000 0.500
F 0.961 0.425 0.292
F 0.468 0.146 0.936
F 0.962 0.789 0.926
F 0.462 0.726 0.782
F 0.451 0.151 0.495
F 0.467 0.428 0.642
F 0.462 0.274 0.218
F 0.451 0.349 0.995
F 0.449 0.009 0.352
Fe 0.443 0.500 0.000
Fe 0.462 0.713 0.424
Fe 0.462 0.787 0.924
Fe 0.461 0.576 0.714
Fe 0.443 0.000 0.500
Fe 0.462 0.213 0.076
Fe 0.461 0.076 0.786
Fe 0.462 0.287 0.576
Fe 0.461 0.424 0.286
Fe 0.461 0.924 0.214
K 0.972 0.324 0.823
K 0.972 0.176 0.323
K 0.972 0.500 0.500
K 0.972 0.676 0.177
K 0.972 0.824 0.677
K 0.972 0.000 0.000

space-group type	No. 32
calculated total energy	-5.188	eV/atom
size of the total moment	22.00	μB per formula unit
distance to the lowest polymorph of the same formula	0.000	eV per atom
DFT formation energy	-2.745	eV/atom

---

[6]
Computed, not measured: Li3V3P8O29 after structural relaxation at the PBE with a Hubbard U level of DFT.

a b c (Å): 9.726 9.730 14.261
angles (deg): 90.33 89.84 119.86
Sites, in units of the cell vectors:
O 0.734 0.078 0.166
O 0.618 0.539 0.169
O 0.343 0.669 0.029
O 0.524 0.337 0.319
O 0.463 0.078 0.177
O 0.920 0.263 0.665
O 0.264 0.919 0.828
O 0.975 0.759 0.567
O 0.996 0.202 0.250
O 0.672 0.323 0.970
O 0.323 0.646 0.530
O 0.915 0.658 0.165
O 0.006 0.802 0.743
O 0.344 0.087 0.664
O 0.083 0.622 0.827
O 0.349 0.260 0.169
O 0.198 0.999 0.251
O 0.796 0.795 0.424
O 0.812 0.009 0.575
O 0.735 0.652 0.672
O 0.791 0.794 0.074
O 0.981 0.218 0.070
O 0.202 0.209 0.578
O 0.665 0.477 0.824
O 0.459 0.382 0.674
O 0.476 0.663 0.683
O 0.377 0.920 0.333
O 0.803 0.008 0.754
O 0.182 0.513 0.678
O 0.080 0.739 0.335
O 0.088 0.471 0.322
O 0.540 0.617 0.330
O 0.652 0.912 0.335
O 0.655 0.742 0.835
O 0.186 0.667 0.175
O 0.336 0.522 0.180
O 0.262 0.346 0.329
O 0.910 0.529 0.677
O 0.905 0.380 0.176
O 0.820 0.491 0.325
O 0.523 0.185 0.817
O 0.083 0.345 0.838
O 0.765 0.997 0.930
O 0.191 0.990 0.429
O 0.017 0.234 0.429
O 0.621 0.078 0.667
O 0.194 0.205 0.930
O 0.799 0.801 0.249
O 0.486 0.817 0.177
O 0.529 0.913 0.822
O 0.199 0.199 0.754
O 0.669 0.189 0.323
O 0.010 0.802 0.921
O 0.674 0.346 0.471
O 0.380 0.459 0.834
O 0.218 0.004 0.075
O 0.331 0.812 0.673
O 0.818 0.328 0.825
P 0.666 0.329 0.867
P 0.302 0.222 0.660
P 0.219 0.303 0.847
P 0.089 0.786 0.837
P 0.671 0.341 0.367
P 0.694 0.778 0.342
P 0.907 0.686 0.659
P 0.090 0.315 0.339
P 0.214 0.916 0.344
P 0.777 0.696 0.157
P 0.307 0.083 0.161
P 0.784 0.086 0.657
P 0.339 0.669 0.133
P 0.332 0.663 0.634
P 0.906 0.221 0.160
P 0.686 0.915 0.840
Li 0.062 0.987 0.994
Li 0.995 0.000 0.500
Li 0.674 0.904 0.056
Li 0.094 0.327 0.554
Li 0.904 0.671 0.442
Li 0.911 0.231 0.945
V 0.561 0.562 0.754
V 0.436 0.435 0.248
V 0.003 0.569 0.243
V 0.560 0.001 0.259
V 0.435 0.001 0.743
V 0.000 0.439 0.752

space-group type	No. 1
calculated total energy	-7.055	eV/atom
size of the total moment	0.00	μB per formula unit
distance to the lowest polymorph of the same formula	0.007	eV per atom
DFT formation energy	-2.526	eV/atom

---

[7]
Computed, not measured: Li3Mn4P6O24 after structural relaxation at the PBE with a Hubbard U level of DFT.

a b c (Å): 8.355 8.517 8.464
angles (deg): 119.24 61.12 89.18
Sites, in units of the cell vectors:
O 0.321 0.978 0.596
O 0.942 0.580 0.812
O 0.418 0.055 0.312
O 0.622 0.477 0.798
O 0.258 0.552 0.973
O 0.472 0.376 0.574
O 0.188 0.885 0.357
O 0.762 0.919 0.980
O 0.554 0.265 0.178
O 0.589 0.937 0.678
O 0.809 0.121 0.646
O 0.554 0.604 0.409
O 0.748 0.438 0.018
O 0.909 0.770 0.329
O 0.458 0.720 0.804
O 0.871 0.201 0.195
O 0.032 0.435 0.214
O 0.127 0.796 0.800
O 0.091 0.231 0.676
O 0.004 0.297 0.433
O 0.233 0.097 0.036
O 0.687 0.018 0.394
O 0.377 0.527 0.216
O 0.972 0.708 0.581
Mn 0.359 0.856 0.717
Mn 0.863 0.353 0.718
Mn 0.635 0.146 0.284
Mn 0.141 0.649 0.285
Li 0.013 0.493 0.980
Li 0.487 0.016 0.015
Li 0.753 0.640 0.489
P 0.455 0.529 0.785
P 0.747 0.971 0.513
P 0.038 0.251 0.218
P 0.554 0.462 0.210
P 0.955 0.751 0.791
P 0.254 0.034 0.488

space-group type	No. 1
calculated total energy	-7.018	eV/atom
size of the total moment	13.00	μB per formula unit
distance to the lowest polymorph of the same formula	0.007	eV per atom
DFT formation energy	-2.411	eV/atom

---

[8]
Computed, not measured: Mg2Fe9O13 after structural relaxation at the PBE with a Hubbard U level of DFT.

a b c (Å): 5.287 5.287 17.120
angles (deg): 81.72 81.72 32.75
Sites, in units of the cell vectors:
Fe 0.064 0.064 0.132
Fe 0.988 0.988 0.675
Fe 0.012 0.012 0.325
Fe 0.649 0.649 0.956
Fe 0.351 0.351 0.044
Fe 0.936 0.936 0.868
Fe 0.748 0.748 0.585
Fe 0.252 0.252 0.415
Fe 0.500 0.500 0.500
O 0.859 0.859 0.462
O 0.141 0.141 0.538
O 0.147 0.147 0.229
O 0.636 0.636 0.687
O 0.377 0.377 0.607
O 0.000 0.000 0.000
O 0.409 0.409 0.146
O 0.288 0.288 0.934
O 0.623 0.623 0.393
O 0.712 0.712 0.066
O 0.364 0.364 0.313
O 0.853 0.853 0.771
O 0.591 0.591 0.854
Mg 0.213 0.213 0.771
Mg 0.787 0.787 0.229

space-group type	No. 12
calculated total energy	-6.527	eV/atom
size of the total moment	40.00	μB per formula unit
DFT formation energy	-1.756	eV/atom

---

[9]
Computed, not measured: Li2Mn2FeO6 after structural relaxation at the PBE with a Hubbard U level of DFT.

a b c (Å): 5.136 5.136 10.257
angles (deg): 90.00 90.00 118.84
Sites, in units of the cell vectors:
Mn 0.163 0.837 0.500
Mn 0.337 0.663 0.000
Mn 0.837 0.163 0.500
Mn 0.663 0.337 0.000
O 0.834 0.480 0.606
O 0.337 0.337 0.096
O 0.980 0.334 0.894
O 0.837 0.837 0.404
O 0.666 0.020 0.106
O 0.166 0.520 0.394
O 0.163 0.163 0.596
O 0.480 0.834 0.606
O 0.020 0.666 0.106
O 0.663 0.663 0.904
O 0.334 0.980 0.894
O 0.520 0.166 0.394
Li 0.348 0.848 0.250
Li 0.652 0.152 0.750
Li 0.848 0.348 0.250
Li 0.152 0.652 0.750
Fe 0.500 0.500 0.500
Fe 0.000 0.000 0.000

space-group type	No. 64
calculated total energy	-6.528	eV/atom
distance to the lowest polymorph of the same formula	0.045	eV per atom
DFT formation energy	-1.930	eV/atom

---

[10]
Computed, not measured: Li3Fe2P2C2O14 after structural relaxation at the PBE with a Hubbard U level of DFT.

a b c (Å): 8.185 8.192 9.380
angles (deg): 106.66 106.86 102.88
Sites, in units of the cell vectors:
O 0.612 0.367 0.919
O 0.781 0.518 0.825
O 0.354 0.099 0.577
O 0.887 0.135 0.072
O 0.343 0.121 0.101
O 0.233 0.458 0.166
O 0.726 0.972 0.165
O 0.213 0.642 0.684
O 0.654 0.911 0.424
O 0.855 0.584 0.580
O 0.641 0.885 0.901
O 0.270 0.832 0.307
O 0.725 0.168 0.695
O 0.075 0.836 0.474
O 0.862 0.610 0.093
O 0.924 0.195 0.538
O 0.111 0.860 0.925
O 0.591 0.528 0.315
O 0.556 0.327 0.468
O 0.121 0.404 0.901
O 0.164 0.388 0.421
O 0.096 0.034 0.309
O 0.282 0.021 0.837
O 0.914 0.984 0.691
O 0.380 0.637 0.074
O 0.765 0.328 0.309
O 0.421 0.479 0.696
O 0.421 0.676 0.527
P 0.304 0.547 0.576
P 0.204 0.953 0.423
P 0.698 0.448 0.424
P 0.798 0.056 0.578
Li 0.443 0.688 0.900
Li 0.064 0.810 0.107
Li 0.286 0.253 0.279
Li 0.004 0.465 0.719
Li 0.558 0.309 0.102
Li 0.939 0.190 0.896
C 0.749 0.995 0.039
C 0.242 0.496 0.041
C 0.248 0.003 0.960
C 0.757 0.503 0.955
Fe 0.443 0.696 0.329
Fe 0.935 0.189 0.331
Fe 0.060 0.817 0.669
Fe 0.563 0.314 0.676

space-group type	No. 1
calculated total energy	-6.794	eV/atom
size of the total moment	7.00	μB per formula unit
distance to the lowest polymorph of the same formula	0.042	eV per atom
DFT formation energy	-2.138	eV/atom